Entry 1:
Compound: VO2F
Source: the Materials Project database
Functional: GGA+U
Structure: optimized geometry

Cell lengths 12.521, 5.451, 8.686 Å; angles 58.25, 90.00, 90.00 degrees
Fractional positions:
O1 0.248 0.352 0.252
O2 0.624 0.543 0.036
O3 0.039 0.280 0.238
O4 0.876 0.543 0.536
O5 0.306 0.925 0.186
O6 0.194 0.925 0.686
O7 0.461 0.280 0.738
O8 0.806 0.075 0.314
O9 0.961 0.720 0.762
O10 0.376 0.457 0.964
O11 0.539 0.720 0.262
O12 0.752 0.648 0.748
O13 0.748 0.648 0.248
O14 0.694 0.075 0.814
O15 0.252 0.352 0.752
O16 0.124 0.457 0.464
V1 0.882 0.488 0.762
V2 0.352 0.193 0.196
V3 0.148 0.193 0.696
V4 0.648 0.807 0.804
V5 0.382 0.512 0.738
V6 0.118 0.512 0.238
V7 0.852 0.807 0.304
V8 0.618 0.488 0.262
F1 0.988 0.783 0.218
F2 0.512 0.783 0.718
F3 0.363 0.818 0.506
F4 0.863 0.182 0.994
F5 0.012 0.217 0.782
F6 0.488 0.217 0.282
F7 0.137 0.818 0.006
F8 0.637 0.182 0.494

Computed properties:
Crystal system: monoclinic
Energy of formation: -2.421 eV per atom
Symmetry: P2_1/c, No. 14


Entry 2:
Compound: SrLaMnSbO6
Source: the Materials Project database
Functional: GGA+U
Structure: optimized geometry

Cell lengths 8.147, 8.192, 8.190 Å; angles 88.71, 90.03, 89.97 degrees
Fractional positions:
La1 0.248 0.019 0.532
La2 0.748 0.468 0.481
La3 0.748 0.968 0.981
La4 0.248 0.519 0.032
O1 0.548 0.490 0.704
O2 0.739 0.714 0.312
O3 0.949 0.013 0.200
O4 0.048 0.296 0.010
O5 0.960 0.214 0.490
O6 0.760 0.305 0.227
O7 0.548 0.717 0.012
O8 0.460 0.010 0.786
O9 0.949 0.513 0.700
O10 0.739 0.214 0.812
O11 0.048 0.488 0.283
O12 0.449 0.800 0.487
O13 0.460 0.510 0.286
O14 0.239 0.688 0.786
O15 0.048 0.988 0.783
O16 0.239 0.188 0.286
O17 0.760 0.805 0.727
O18 0.449 0.300 0.987
O19 0.548 0.217 0.512
O20 0.048 0.796 0.510
O21 0.548 0.990 0.204
O22 0.960 0.714 0.990
O23 0.260 0.273 0.695
O24 0.260 0.773 0.195
Sr1 0.249 0.524 0.515
Sr2 0.749 0.985 0.476
Sr3 0.749 0.485 0.976
Sr4 0.249 0.024 0.015
Sb1 0.500 0.251 0.752
Sb2 0.000 0.248 0.249
Sb3 0.000 0.748 0.749
Sb4 0.500 0.751 0.252
Mn1 0.000 0.752 0.254
Mn2 0.000 0.252 0.754
Mn3 0.500 0.746 0.748
Mn4 0.500 0.246 0.248

Computed properties:
Energy of formation: -2.818 eV per atom


Entry 3:
Compound: Li5Mn2FeB4O12
Source: the Materials Project database
Functional: GGA+U
Structure: optimized geometry

Cell lengths 9.159, 5.297, 10.967 Å; angles 62.89, 90.00, 90.00 degrees
Fractional positions:
O1 0.783 0.865 0.843
O2 0.939 0.615 0.153
O3 0.084 0.170 0.415
O4 0.046 0.881 0.831
O5 0.717 0.159 0.143
O6 0.589 0.679 0.412
O7 0.083 0.324 0.085
O8 0.797 0.679 0.624
O9 0.411 0.679 0.912
O10 0.561 0.388 0.846
O11 0.916 0.170 0.915
O12 0.203 0.679 0.124
O13 0.541 0.128 0.666
O14 0.415 0.821 0.591
O15 0.459 0.128 0.166
O16 0.301 0.291 0.889
O17 0.217 0.865 0.343
O18 0.699 0.291 0.389
O19 0.061 0.615 0.653
O20 0.585 0.821 0.091
O21 0.283 0.159 0.643
O22 0.439 0.388 0.346
O23 0.954 0.881 0.331
O24 0.917 0.324 0.585
Li1 0.235 0.489 0.349
Li2 0.919 0.458 0.371
Li3 0.081 0.458 0.871
Li4 0.765 0.489 0.849
Li5 0.755 0.937 0.379
Li6 0.245 0.937 0.879
Li7 0.734 0.500 0.161
Li8 0.419 0.546 0.127
Li9 0.581 0.546 0.627
Li10 0.266 0.500 0.661
B1 0.575 0.453 0.382
B2 0.075 0.546 0.121
B3 0.915 0.969 0.865
B4 0.925 0.546 0.621
B5 0.085 0.969 0.365
B6 0.590 0.036 0.132
B7 0.410 0.036 0.632
B8 0.425 0.453 0.882
Mn1 0.081 0.025 0.623
Mn2 0.429 0.972 0.380
Mn3 0.919 0.025 0.123
Mn4 0.571 0.972 0.880
Fe1 0.745 0.068 0.610
Fe2 0.255 0.068 0.110

Computed properties:
Crystal system: monoclinic
Energy of formation: -2.454 eV per atom
Symmetry: Pc, No. 7


Entry 4:
Compound: YVO3
Source: the Materials Project database
Functional: GGA+U
Structure: optimized geometry

Cell lengths 6.147, 6.147, 12.057 Å; angles 90.00, 90.00, 120.00 degrees
Fractional positions:
Y1 0.333 0.667 0.229
Y2 0.333 0.667 0.729
Y3 0.000 0.000 0.273
Y4 0.667 0.333 0.229
Y5 0.667 0.333 0.729
Y6 0.000 0.000 0.773
O1 0.640 0.000 0.339
O2 0.000 0.640 0.339
O3 0.667 0.333 0.025
O4 0.000 0.000 0.982
O5 0.667 0.333 0.525
O6 0.693 0.000 0.668
O7 0.360 0.360 0.339
O8 0.307 0.000 0.168
O9 0.360 0.000 0.839
O10 0.307 0.307 0.668
O11 0.640 0.640 0.839
O12 0.693 0.693 0.168
O13 0.333 0.667 0.525
O14 0.000 0.000 0.482
O15 0.000 0.360 0.839
O16 0.000 0.307 0.168
O17 0.333 0.667 0.025
O18 0.000 0.693 0.668
V1 0.664 0.664 0.998
V2 0.000 0.336 0.998
V3 0.000 0.664 0.498
V4 0.336 0.000 0.998
V5 0.336 0.336 0.498
V6 0.664 0.000 0.498

Computed properties:
Crystal system: hexagonal
Energy of formation: -3.193 eV per atom
Symmetry: P6_3cm, No. 185


Entry 5:
Compound: Ba7Fe6CuF34
Source: the Materials Project database
Functional: GGA+U
Structure: optimized geometry

Cell lengths 10.378, 10.378, 7.820 Å; angles 80.37, 80.37, 67.96 degrees
Fractional positions:
F1 0.794 0.207 0.201
F2 0.484 0.959 0.197
F3 0.207 0.794 0.201
F4 0.986 0.231 0.386
F5 0.014 0.769 0.614
F6 0.439 0.439 0.326
F7 0.769 0.014 0.614
F8 0.793 0.206 0.799
F9 0.889 0.889 0.306
F10 0.561 0.561 0.674
F11 0.880 0.644 0.456
F12 0.995 0.736 0.993
F13 0.644 0.880 0.456
F14 0.264 0.005 0.007
F15 0.254 0.254 0.241
F16 0.120 0.356 0.544
F17 0.724 0.446 0.386
F18 0.736 0.995 0.993
F19 0.111 0.111 0.694
F20 0.516 0.041 0.803
F21 0.746 0.746 0.759
F22 0.247 0.514 0.971
F23 0.514 0.247 0.971
F24 0.486 0.753 0.029
F25 0.005 0.264 0.007
F26 0.231 0.986 0.386
F27 0.753 0.486 0.029
F28 0.356 0.120 0.544
F29 0.554 0.276 0.614
F30 0.446 0.724 0.386
F31 0.041 0.516 0.803
F32 0.276 0.554 0.614
F33 0.206 0.793 0.799
F34 0.959 0.484 0.197
Ba1 0.560 0.159 0.301
Ba2 0.841 0.440 0.699
Ba3 0.736 0.736 0.126
Ba4 0.000 0.000 0.000
Ba5 0.440 0.841 0.699
Ba6 0.264 0.264 0.874
Ba7 0.159 0.560 0.301
Fe1 0.647 0.133 0.800
Fe2 0.826 0.826 0.541
Fe3 0.867 0.353 0.200
Fe4 0.174 0.174 0.459
Fe5 0.353 0.867 0.200
Fe6 0.133 0.647 0.800
Cu1 0.500 0.500 0.500

Computed properties:
Crystal system: monoclinic
Energy of formation: -3.299 eV per atom
Symmetry: C2/m, No. 12


Entry 6:
Compound: Mn2OF3
Source: the Materials Project database
Functional: GGA+U
Structure: optimized geometry

Cell lengths 3.089, 5.162, 10.639 Å; angles 89.98, 89.94, 90.00 degrees
Fractional positions:
F1 0.244 0.844 0.560
F2 0.744 0.749 0.287
F3 0.744 0.189 0.445
F4 0.244 0.656 0.060
F5 0.744 0.751 0.787
F6 0.744 0.311 0.945
Mn1 0.244 0.999 0.346
Mn2 0.744 0.051 0.639
Mn3 0.744 0.449 0.139
Mn4 0.245 0.501 0.846
O1 0.244 0.259 0.204
O2 0.244 0.241 0.704

Computed properties:
Crystal system: monoclinic
Energy of formation: -2.579 eV per atom
Symmetry: Pc, No. 7


Entry 7:
Compound: BaPrMgMn2O6
Source: the Materials Project database
Functional: GGA+U
Structure: optimized geometry

Cell lengths 3.838, 5.613, 7.980 Å; angles 90.00, 90.00, 90.00 degrees
Fractional positions:
O1 0.500 0.500 0.000
O2 0.500 0.000 0.198
O3 0.500 0.000 0.802
O4 0.000 0.500 0.762
O5 0.500 0.500 0.500
O6 0.000 0.500 0.238
Ba1 0.000 0.000 0.500
Pr1 0.000 0.000 0.000
Mn1 0.500 0.500 0.264
Mn2 0.500 0.500 0.736
Mg1 0.000 0.500 0.000

Computed properties:
Crystal system: orthorhombic
Energy of formation: -2.261 eV per atom
Symmetry: Pmmm, No. 47


Entry 8:
Compound: Mo13O33
Source: the Materials Project database
Functional: GGA+U
Structure: optimized geometry

Cell lengths 3.906, 11.372, 15.032 Å; angles 93.65, 97.42, 99.88 degrees
Fractional positions:
Mo1 0.017 0.942 0.117
Mo2 0.103 0.474 0.731
Mo3 0.818 0.610 0.027
Mo4 0.123 0.859 0.366
Mo5 0.255 0.286 0.213
Mo6 0.179 0.384 0.973
Mo7 0.973 0.055 0.880
Mo8 0.902 0.526 0.270
Mo9 0.313 0.190 0.457
Mo10 0.877 0.139 0.633
Mo11 0.683 0.808 0.542
Mo12 0.752 0.499 0.500
Mo13 0.746 0.714 0.787
O1 0.006 0.678 0.319
O2 0.848 0.869 0.824
O3 0.294 0.570 0.018
O4 0.841 0.191 0.495
O5 0.065 0.899 0.249
O6 0.621 0.842 0.398
O7 0.689 0.753 0.652
O8 0.992 0.324 0.679
O9 0.155 0.131 0.177
O10 0.219 0.026 0.416
O11 0.309 0.248 0.348
O12 0.772 0.975 0.582
O13 0.939 0.466 0.400
O14 0.376 0.157 0.600
O15 0.554 0.629 0.484
O16 0.786 0.335 0.228
O17 0.155 0.809 0.505
O18 0.858 0.569 0.147
O19 0.145 0.433 0.853
O20 0.215 0.665 0.771
O21 0.074 0.219 0.926
O22 0.929 0.784 0.076
O23 0.070 0.534 0.600
O24 0.462 0.044 0.874
O25 0.437 0.371 0.516
O26 0.374 0.475 0.264
O27 0.542 0.954 0.129
O28 0.705 0.427 0.981
O29 0.784 0.661 0.909
O30 0.003 0.001 0.006
O31 0.219 0.341 0.092
O32 0.630 0.525 0.737
O33 0.939 0.107 0.748

Computed properties:
Crystal system: triclinic
Energy of formation: -1.912 eV per atom
Symmetry: P1, No. 1


Entry 9:
Compound: LiFeOF2
Source: the Materials Project database
Functional: GGA+U
Structure: optimized geometry

Cell lengths 5.146, 5.531, 9.243 Å; angles 85.87, 72.06, 117.19 degrees
Fractional positions:
F1 0.250 0.263 0.481
F2 0.245 0.803 0.964
F3 0.767 0.731 0.536
F4 0.552 0.117 0.613
F5 0.951 0.469 0.279
F6 0.420 0.859 0.376
F7 0.425 0.368 0.881
F8 0.933 0.965 0.782
Fe1 0.839 0.601 0.929
Fe2 0.375 0.894 0.164
Fe3 0.151 0.874 0.583
Fe4 0.134 0.330 0.096
O1 0.765 0.241 0.043
O2 0.042 0.552 0.726
O3 0.534 0.632 0.106
O4 0.067 0.010 0.220
Li1 0.669 0.139 0.790
Li2 0.880 0.127 0.429
Li3 0.649 0.611 0.325
Li4 0.351 0.413 0.674

Computed properties:
Crystal system: triclinic
Energy of formation: -2.455 eV per atom
Symmetry: P1, No. 1


Entry 10:
Compound: Ba2MgNi2O6
Source: the Materials Project database
Functional: GGA+U
Structure: optimized geometry

Cell lengths 5.537, 6.271, 5.277 Å; angles 107.09, 89.96, 116.24 degrees
Fractional positions:
Ni1 0.000 0.999 0.990
Ni2 0.000 0.999 0.490
Ba1 0.707 0.413 0.680
Ba2 0.293 0.585 0.301
O1 0.154 0.307 0.786
O2 0.697 0.869 0.723
O3 0.827 0.129 0.257
O4 0.846 0.692 0.194
O5 0.173 0.869 0.723
O6 0.303 0.129 0.257
Mg1 0.500 0.999 0.990

Computed properties:
Crystal system: monoclinic
Energy of formation: -1.949 eV per atom
Symmetry: C2/m, No. 12